NiI2 after structural relaxation, computed with meta-GGA r2SCAN.

a = 7.371 Å, b = 7.371 Å, c = 7.371 Å
α = 31.13°, β = 31.13°, γ = 31.13°
Fractional positions:
Ni: 0.000 0.000 0.000
I: 0.260 0.260 0.260
I: 0.740 0.740 0.740

Calculated values
E_form in eV per atom: -0.338
DFT total energy in eV/atom: -20.70
Crystal system: trigonal